A plane-wave DFT calculation with PBE was carried out for an optimized crystal structure of PPd6.

Geometry as POSCAR:
```
PPd6
1.0
9.647 0.000 0.000
0.000 5.734 0.000
0.000 2.885 7.841
P Pd
4 24
Direct
0.761 0.877 0.749
0.261 0.123 0.751
0.239 0.123 0.251
0.739 0.877 0.249
0.867 0.529 0.931
0.367 0.471 0.569
0.133 0.471 0.069
0.633 0.529 0.431
0.135 0.773 0.431
0.635 0.227 0.069
0.865 0.227 0.569
0.365 0.773 0.931
0.867 0.714 0.564
0.367 0.286 0.936
0.133 0.286 0.436
0.633 0.714 0.064
0.421 0.867 0.249
0.921 0.133 0.251
0.579 0.133 0.751
0.079 0.867 0.749
0.580 0.620 0.749
0.080 0.380 0.751
0.420 0.380 0.251
0.920 0.620 0.249
0.364 0.960 0.564
0.864 0.040 0.936
0.636 0.040 0.436
0.136 0.960 0.064
```

Computed properties:
- ΔH_f (0 K): -2.2 eV per formula unit
- Polymorph energy (0 for the lowest one): 0 meV per atom
- Space group: P2_1/c (14)
- DFT total energy: -5.5270 eV/atom